# 1
Computed, not measured: Y2NiB10 after structural relaxation at the r2SCAN level of DFT.

abc: 4.141 5.537 11.059
angles: 90.00 90.00 90.00
Element x y z (fractional)
Y 0.500 0.185 0.363
Y 0.500 0.815 0.637
Y 0.500 0.315 0.863
Y 0.500 0.685 0.137
Ni 0.000 0.000 0.000
Ni 0.000 0.500 0.500
B 0.000 0.373 0.041
B 0.000 0.627 0.959
B 0.000 0.127 0.541
B 0.000 0.873 0.459
B 0.000 0.339 0.199
B 0.000 0.661 0.801
B 0.000 0.161 0.699
B 0.000 0.839 0.301
B 0.000 0.027 0.186
B 0.000 0.973 0.814
B 0.000 0.473 0.686
B 0.000 0.527 0.314
B 0.301 0.200 0.114
B 0.699 0.800 0.886
B 0.301 0.800 0.886
B 0.699 0.300 0.614
B 0.699 0.200 0.114
B 0.301 0.700 0.386
B 0.699 0.700 0.386
B 0.301 0.300 0.614

Computed properties:
The magnetic moment comes out at 0.0 Bohr magnetons per cell.

=====

# 2
Computed, not measured: YNi12B6 after structural relaxation at the r2SCAN level of DFT.

abc: 5.977 5.977 10.916
angles: 90.00 90.00 104.72
Element x y z (fractional)
Y 0.833 0.833 0.496
Y 0.167 0.167 0.996
Ni 0.567 0.567 0.918
Ni 0.433 0.433 0.418
Ni 0.780 0.780 0.099
Ni 0.220 0.220 0.599
Ni 0.543 0.805 0.734
Ni 0.805 0.543 0.734
Ni 0.457 0.195 0.234
Ni 0.195 0.457 0.234
Ni 0.146 0.881 0.756
Ni 0.881 0.146 0.756
Ni 0.854 0.119 0.256
Ni 0.119 0.854 0.256
Ni 0.657 0.271 0.568
Ni 0.271 0.657 0.568
Ni 0.343 0.729 0.068
Ni 0.729 0.343 0.068
Ni 0.631 0.996 0.938
Ni 0.996 0.631 0.938
Ni 0.369 0.004 0.438
Ni 0.004 0.369 0.438
Ni 0.474 0.212 0.776
Ni 0.212 0.474 0.776
Ni 0.526 0.788 0.276
Ni 0.788 0.526 0.276
B 0.837 0.837 0.837
B 0.163 0.163 0.337
B 0.488 0.488 0.656
B 0.512 0.512 0.156
B 0.326 0.757 0.885
B 0.757 0.326 0.885
B 0.674 0.243 0.385
B 0.243 0.674 0.385
B 0.401 0.987 0.622
B 0.987 0.401 0.622
B 0.599 0.013 0.122
B 0.013 0.599 0.122

Computed properties:
The magnetic moment comes out at 0.0 Bohr magnetons per cell.

=====

# 3
Computed, not measured: Yb3Ni7B2 after structural relaxation at the r2SCAN level of DFT.

abc: 5.073 5.072 7.003
angles: 90.00 90.00 59.99
Element x y z (fractional)
Yb 0.000 0.000 0.000
Yb 0.000 0.000 0.500
Yb 0.667 0.667 0.000
Ni 0.496 0.008 0.304
Ni 0.008 0.496 0.304
Ni 0.496 0.496 0.304
Ni 0.496 0.008 0.696
Ni 0.008 0.496 0.696
Ni 0.496 0.496 0.696
Ni 0.333 0.333 0.000
B 0.667 0.667 0.500
B 0.333 0.333 0.500

Computed properties:
The magnetic moment comes out at 0.0 Bohr magnetons per cell.

=====

# 4
Computed, not measured: Yb4NiB13 after structural relaxation at the r2SCAN level of DFT.

abc: 7.224 7.224 6.756
angles: 90.00 90.00 90.00
Element x y z (fractional)
Yb 0.685 0.181 0.500
Yb 0.315 0.819 0.500
Yb 0.185 0.319 0.000
Yb 0.815 0.681 0.000
Yb 0.819 0.685 0.500
Yb 0.181 0.315 0.500
Yb 0.681 0.185 0.000
Yb 0.319 0.815 0.000
Ni 0.500 0.500 0.500
Ni 0.000 0.000 0.000
B 0.500 0.500 0.000
B 0.000 0.000 0.500
B 0.909 0.409 0.250
B 0.091 0.591 0.250
B 0.409 0.091 0.750
B 0.591 0.909 0.750
B 0.591 0.909 0.250
B 0.409 0.091 0.250
B 0.909 0.409 0.750
B 0.091 0.591 0.750
B 0.540 0.671 0.243
B 0.460 0.329 0.243
B 0.040 0.829 0.743
B 0.960 0.171 0.743
B 0.329 0.540 0.243
B 0.671 0.460 0.243
B 0.171 0.040 0.743
B 0.829 0.960 0.743
B 0.460 0.329 0.757
B 0.540 0.671 0.757
B 0.960 0.171 0.257
B 0.040 0.829 0.257
B 0.671 0.460 0.757
B 0.329 0.540 0.757
B 0.829 0.960 0.257
B 0.171 0.040 0.257

Computed properties:
The magnetic moment comes out at 0.0 Bohr magnetons per cell.

=====

# 5
Computed, not measured: Yb2Ni3B6 after structural relaxation at the r2SCAN level of DFT.

abc: 5.724 5.724 3.416
angles: 90.00 90.00 96.70
Element x y z (fractional)
Yb 0.276 0.724 0.000
Yb 0.724 0.276 0.000
Ni 0.773 0.773 0.000
Ni 0.227 0.227 0.000
Ni 0.000 0.000 0.500
B 0.613 0.613 0.500
B 0.387 0.387 0.500
B 0.616 0.917 0.500
B 0.384 0.083 0.500
B 0.917 0.616 0.500
B 0.083 0.384 0.500

Computed properties:
The magnetic moment comes out at 0.0 Bohr magnetons per cell.

=====

# 6
Computed, not measured: Zn3Ni20B6 after structural relaxation at the r2SCAN level of DFT.

abc: 7.348 7.348 7.348
angles: 60.00 60.00 60.00
Element x y z (fractional)
Zn 0.250 0.250 0.250
Zn 0.750 0.750 0.750
Zn 0.000 0.000 0.000
Ni 0.000 0.000 0.662
Ni 0.383 0.851 0.383
Ni 0.662 0.338 0.000
Ni 0.000 0.338 0.662
Ni 0.662 0.000 0.000
Ni 0.000 0.000 0.338
Ni 0.662 0.000 0.338
Ni 0.000 0.338 0.000
Ni 0.000 0.662 0.338
Ni 0.338 0.000 0.000
Ni 0.000 0.662 0.000
Ni 0.338 0.000 0.662
Ni 0.383 0.383 0.383
Ni 0.338 0.662 0.000
Ni 0.617 0.149 0.617
Ni 0.383 0.383 0.851
Ni 0.851 0.383 0.383
Ni 0.617 0.617 0.617
Ni 0.149 0.617 0.617
Ni 0.617 0.617 0.149
B 0.725 0.725 0.275
B 0.725 0.275 0.725
B 0.275 0.725 0.275
B 0.725 0.275 0.275
B 0.275 0.725 0.725
B 0.275 0.275 0.725

Computed properties:
The magnetic moment comes out at 0.0 Bohr magnetons per cell.

=====

# 7
Computed, not measured: Zr2Ni21B6 after structural relaxation at the r2SCAN level of DFT.

abc: 7.422 7.422 7.422
angles: 60.00 60.00 60.00
Element x y z (fractional)
Zr 0.750 0.750 0.750
Zr 0.250 0.250 0.250
Ni 0.000 0.000 0.000
Ni 0.614 0.614 0.158
Ni 0.614 0.158 0.614
Ni 0.158 0.614 0.614
Ni 0.614 0.614 0.614
Ni 0.386 0.386 0.842
Ni 0.386 0.842 0.386
Ni 0.842 0.386 0.386
Ni 0.386 0.386 0.386
Ni 0.000 0.000 0.339
Ni 0.661 0.000 0.339
Ni 0.000 0.661 0.339
Ni 0.661 0.339 0.000
Ni 0.000 0.339 0.000
Ni 0.000 0.339 0.661
Ni 0.339 0.661 0.000
Ni 0.339 0.000 0.661
Ni 0.339 0.000 0.000
Ni 0.000 0.000 0.661
Ni 0.000 0.661 0.000
Ni 0.661 0.000 0.000
B 0.731 0.731 0.269
B 0.269 0.731 0.269
B 0.731 0.269 0.269
B 0.269 0.269 0.731
B 0.731 0.269 0.731
B 0.269 0.731 0.731

Computed properties:
The magnetic moment comes out at 0.0 Bohr magnetons per cell.

=====

# 8
Computed, not measured: NpB2 after structural relaxation at the r2SCAN level of DFT.

abc: 3.160 3.160 4.017
angles: 90.00 90.00 120.00
Element x y z (fractional)
Np 0.000 0.000 0.000
B 0.333 0.667 0.500
B 0.667 0.333 0.500

Computed properties:
The magnetic moment comes out at 2.9 Bohr magnetons per cell.

=====

# 9
Computed, not measured: NpB4 after structural relaxation at the r2SCAN level of DFT.

abc: 4.024 7.109 7.109
angles: 89.91 90.00 90.00
Element x y z (fractional)
Np 0.000 0.314 0.814
Np 0.000 0.686 0.186
Np 0.000 0.187 0.313
Np 0.000 0.813 0.687
B 0.799 0.500 0.500
B 0.799 0.000 0.000
B 0.201 0.500 0.500
B 0.201 0.000 0.000
B 0.500 0.087 0.587
B 0.500 0.913 0.413
B 0.500 0.412 0.088
B 0.500 0.588 0.912
B 0.500 0.538 0.677
B 0.500 0.462 0.323
B 0.500 0.962 0.177
B 0.500 0.038 0.823
B 0.500 0.677 0.462
B 0.500 0.323 0.538
B 0.500 0.177 0.038
B 0.500 0.823 0.962

Computed properties:
The magnetic moment comes out at 13.5 Bohr magnetons per cell.

=====

# 10
Computed, not measured: NpB12 after structural relaxation at the r2SCAN level of DFT.

abc: 5.294 5.294 5.294
angles: 60.00 60.00 60.00
Element x y z (fractional)
Np 0.000 0.000 0.000
B 0.162 0.500 0.500
B 0.162 0.500 0.838
B 0.162 0.838 0.500
B 0.500 0.162 0.838
B 0.500 0.162 0.500
B 0.838 0.162 0.500
B 0.500 0.838 0.162
B 0.838 0.500 0.162
B 0.500 0.500 0.162
B 0.838 0.500 0.500
B 0.500 0.838 0.500
B 0.500 0.500 0.838

Computed properties:
The magnetic moment comes out at 3.6 Bohr magnetons per cell.

=====

# 11
Computed, not measured: NpB6 after structural relaxation at the r2SCAN level of DFT.

abc: 4.102 4.102 4.102
angles: 90.00 90.00 90.00
Element x y z (fractional)
Np 0.000 0.000 0.000
B 0.199 0.500 0.500
B 0.801 0.500 0.500
B 0.500 0.199 0.500
B 0.500 0.801 0.500
B 0.500 0.500 0.199
B 0.500 0.500 0.801

Computed properties:
The magnetic moment comes out at 4.2 Bohr magnetons per cell.

=====

# 12
Computed, not measured: Sr6BP5O20 after structural relaxation at the r2SCAN level of DFT.

abc: 11.767 11.767 11.767
angles: 130.95 130.95 71.90
Element x y z (fractional)
Sr 0.720 0.220 0.941
Sr 0.220 0.280 0.500
Sr 0.280 0.780 0.059
Sr 0.780 0.720 0.500
Sr 0.329 0.535 0.193
Sr 0.341 0.135 0.807
Sr 0.841 0.035 0.206
Sr 0.465 0.659 0.794
Sr 0.865 0.671 0.206
Sr 0.965 0.171 0.807
Sr 0.365 0.159 0.193
Sr 0.829 0.635 0.794
B 0.750 0.250 0.500
B 0.250 0.750 0.500
P 0.128 0.446 0.272
P 0.175 0.857 0.728
P 0.675 0.946 0.318
P 0.554 0.825 0.682
P 0.143 0.872 0.318
P 0.054 0.372 0.728
P 0.643 0.325 0.272
P 0.628 0.357 0.682
P 0.500 0.500 0.000
P 0.000 0.000 0.000
O 0.971 0.795 0.154
O 0.528 0.983 0.740
O 0.244 0.789 0.260
O 0.028 0.289 0.545
O 0.744 0.483 0.455
O 0.711 0.256 0.740
O 0.958 0.379 0.122
O 0.256 0.836 0.878
O 0.756 0.879 0.421
O 0.621 0.744 0.579
O 0.164 0.042 0.421
O 0.121 0.542 0.878
O 0.664 0.244 0.122
O 0.471 0.318 0.176
O 0.205 0.358 0.176
O 0.182 0.029 0.824
O 0.682 0.858 0.154
O 0.642 0.818 0.846
O 0.517 0.972 0.260
O 0.142 0.295 0.824
O 0.211 0.472 0.455
O 0.017 0.756 0.545
O 0.631 0.309 0.521
O 0.691 0.212 0.323
O 0.890 0.369 0.677
O 0.191 0.869 0.479
O 0.390 0.712 0.521
O 0.788 0.110 0.479
O 0.288 0.809 0.677
O 0.131 0.610 0.323
O 0.985 0.827 0.900
O 0.173 0.074 0.159
O 0.915 0.015 0.841
O 0.673 0.515 0.100
O 0.415 0.574 0.900
O 0.926 0.085 0.100
O 0.426 0.327 0.841
O 0.485 0.585 0.159
O 0.705 0.529 0.846
O 0.458 0.336 0.579

Computed properties:
The magnetic moment comes out at 0.0 Bohr magnetons per cell.

=====

| no. | energy relative to the elements (eV per atom) |
| --- | --- |
| 1 | -0.571 |
| 2 | -0.396 |
| 3 | -0.453 |
| 4 | -0.582 |
| 5 | -0.651 |
| 6 | -0.265 |
| 7 | -0.362 |
| 8 | -0.581 |
| 9 | -0.573 |
| 10 | -0.266 |
| 11 | -0.420 |
| 12 | -3.060 |